The following is a GGA-PBE calculation of a relaxed CaTiSi4O10 crystal, from the Materials Project.

POSCAR file:
```
CaTiSi4O10
1.0
7.484 0.000 0.000
0.000 7.484 0.000
0.000 0.000 15.532
Ca Ti Si O
4 4 16 40
Cartesian
3.742 3.742 7.766
0.000 0.000 7.766
0.000 0.000 0.000
3.742 3.742 0.000
3.742 0.000 9.016
0.000 3.742 14.282
0.000 3.742 6.516
3.742 0.000 1.250
1.274 1.893 10.089
6.211 5.592 10.089
1.893 1.274 13.210
5.635 2.468 10.089
1.849 5.016 10.089
2.468 5.635 13.210
5.016 1.849 13.210
5.592 6.211 13.210
2.468 1.849 5.443
5.016 5.635 5.443
1.849 2.468 2.323
5.592 1.274 5.443
1.893 6.211 5.443
1.274 5.592 2.323
6.211 1.893 2.323
5.635 5.016 2.323
1.862 0.800 9.055
5.623 6.684 9.055
0.800 1.862 14.244
4.543 1.880 9.055
2.942 5.604 9.055
1.880 4.543 14.244
5.604 2.942 14.244
6.684 5.623 14.244
1.880 2.942 6.478
5.604 4.543 6.478
2.942 1.880 1.289
6.684 1.862 6.478
0.800 5.623 6.478
1.862 6.684 1.289
5.623 0.800 1.289
1.873 0.349 5.750
4.543 5.604 1.289
5.615 4.091 9.783
3.394 1.869 13.516
7.136 1.873 9.783
0.349 5.611 9.783
1.873 7.136 13.516
5.611 0.349 13.516
4.091 5.615 13.516
5.285 5.285 3.883
5.942 1.543 3.883
1.543 5.942 3.883
2.200 2.200 3.883
5.942 5.942 11.649
5.285 2.200 11.649
2.200 5.285 11.649
1.543 1.543 11.649
7.136 5.611 2.017
5.615 3.394 2.017
1.869 4.091 2.017
3.394 5.615 5.750
4.091 1.869 5.750
0.349 1.873 2.017
5.611 7.136 5.750
1.869 3.394 9.783
```

Results
- Energy: -7.803 eV per atom
- Magnetic moment: 7.94 μB per cell
- Space-group type: P4/ncc
- ΔH_f (0 K): -3.1648 eV per atom